No. 1
An optimized crystal structure of Li4V3P8O29. Source: Materials Project, functional PBE with a Hubbard U.

Cell lengths 9.761, 9.769, 14.140 Å; angles 89.77, 89.25, 60.16 degrees
Space group P1 (No. 1)
One atom of each set of equivalent atoms:
Li (0.000, 0.000, 0.000) [1 per cell]
Li (0.015, 0.860, 0.503) [1 per cell]
Li (0.242, 0.542, 0.386) [1 per cell]
Li (0.316, 0.818, 0.934) [1 per cell]
Li (0.424, 0.441, 0.998) [1 per cell]
Li (0.563, 0.447, 0.504) [1 per cell]
Li (0.646, 0.683, 0.379) [1 per cell]
Li (0.666, 0.533, 0.882) [1 per cell]
V (0.334, 0.196, 0.693) [1 per cell]
V (0.334, 0.324, 0.188) [1 per cell]
V (0.763, 0.770, 0.187) [1 per cell]
V (0.770, 0.331, 0.690) [1 per cell]
V (0.900, 0.760, 0.698) [1 per cell]
V (0.903, 0.197, 0.197) [1 per cell]
P (0.001, 0.431, 0.813) [1 per cell]
P (0.013, 0.851, 0.285) [1 per cell]
P (0.018, 0.993, 0.785) [1 per cell]
P (0.110, 0.079, 0.604) [1 per cell]
P (0.112, 0.680, 0.102) [1 per cell]
P (0.246, 0.536, 0.603) [1 per cell]
P (0.251, 0.068, 0.100) [1 per cell]
P (0.415, 0.994, 0.287) [1 per cell]
P (0.420, 0.452, 0.784) [1 per cell]
P (0.552, 0.850, 0.779) [1 per cell]
P (0.560, 0.446, 0.284) [1 per cell]
P (0.651, 0.535, 0.102) [1 per cell]
P (0.654, 0.678, 0.596) [1 per cell]
P (0.668, 0.098, 0.574) [1 per cell]
P (0.670, 0.103, 0.073) [1 per cell]
P (0.996, 0.437, 0.310) [1 per cell]
O (0.000, 0.433, 0.415) [1 per cell]
O (0.005, 0.439, 0.918) [1 per cell]
O (0.006, 0.579, 0.766) [1 per cell]
O (0.074, 0.107, 0.107) [1 per cell]
O (0.078, 0.683, 0.603) [1 per cell]
O (0.085, 0.770, 0.377) [1 per cell]
O (0.102, 0.973, 0.877) [1 per cell]
O (0.102, 0.993, 0.521) [1 per cell]
O (0.130, 0.773, 0.024) [1 per cell]
O (0.134, 0.977, 0.699) [1 per cell]
O (0.135, 0.751, 0.202) [1 per cell]
O (0.146, 0.284, 0.767) [1 per cell]
O (0.148, 0.433, 0.265) [1 per cell]
O (0.240, 0.384, 0.620) [1 per cell]
O (0.252, 0.108, 0.608) [1 per cell]
O (0.253, 0.227, 0.111) [1 per cell]
O (0.254, 0.506, 0.103) [1 per cell]
O (0.326, 0.013, 0.375) [1 per cell]
O (0.327, 0.975, 0.014) [1 per cell]
O (0.330, 0.971, 0.194) [1 per cell]
O (0.332, 0.560, 0.693) [1 per cell]
O (0.335, 0.528, 0.513) [1 per cell]
O (0.345, 0.537, 0.874) [1 per cell]
O (0.413, 0.427, 0.283) [1 per cell]
O (0.417, 0.023, 0.778) [1 per cell]
O (0.420, 0.296, 0.770) [1 per cell]
O (0.425, 0.147, 0.259) [1 per cell]
O (0.517, 0.103, 0.622) [1 per cell]
O (0.520, 0.260, 0.114) [1 per cell]
O (0.535, 0.777, 0.681) [1 per cell]
O (0.536, 0.760, 0.860) [1 per cell]
O (0.540, 0.556, 0.193) [1 per cell]
O (0.568, 0.534, 0.013) [1 per cell]
O (0.573, 0.523, 0.372) [1 per cell]
O (0.584, 0.850, 0.280) [1 per cell]
O (0.590, 0.757, 0.504) [1 per cell]
O (0.591, 0.425, 0.777) [1 per cell]
O (0.658, 0.963, 0.115) [1 per cell]
O (0.664, 0.251, 0.611) [1 per cell]
O (0.666, 0.097, 0.468) [1 per cell]
O (0.671, 0.512, 0.602) [1 per cell]
O (0.673, 0.116, 0.968) [1 per cell]
O (0.678, 0.677, 0.107) [1 per cell]
O (0.712, 0.285, 0.265) [1 per cell]
O (0.714, 0.846, 0.773) [1 per cell]
O (0.807, 0.379, 0.117) [1 per cell]
O (0.813, 0.667, 0.622) [1 per cell]
O (0.815, 0.948, 0.616) [1 per cell]
O (0.824, 0.095, 0.115) [1 per cell]
O (0.846, 0.442, 0.776) [1 per cell]
O (0.846, 0.583, 0.271) [1 per cell]
O (0.855, 0.860, 0.265) [1 per cell]
O (0.864, 0.148, 0.774) [1 per cell]
O (0.956, 0.240, 0.620) [1 per cell]
O (0.956, 0.681, 0.111) [1 per cell]
O (0.988, 0.852, 0.770) [1 per cell]
O (0.991, 0.020, 0.277) [1 per cell]
O (0.995, 0.288, 0.265) [1 per cell]

Computed properties:
Energy relative to the elements (meV per atom): -2570
Energy relative to the lowest polymorph listed for this composition (meV per atom): 13

No. 2
An optimized crystal structure of PrTlMo2O8. Source: Materials Project, functional PBE with a Hubbard U.

Cell lengths 5.260, 19.310, 8.420 Å; angles 90.00, 90.00, 90.00 degrees
Space group Pbcn (No. 60)
One atom of each set of equivalent atoms:
Pr (0.000, 0.006, 0.250) [4 per cell]
Tl (0.000, 0.228, 0.750) [4 per cell]
Mo (0.019, 0.398, 0.013) [8 per cell]
O (0.102, 0.313, 0.480) [8 per cell]
O (0.221, 0.403, 0.842) [8 per cell]
O (0.235, 0.408, 0.180) [8 per cell]
O (0.248, 0.461, 0.501) [8 per cell]

Computed properties:
Energy relative to the elements (meV per atom): -2360

No. 3
An optimized crystal structure of Ba2Co3O8. Source: Materials Project, functional PBE with a Hubbard U.

Cell lengths 3.847, 3.847, 12.178 Å; angles 90.00, 90.00, 90.00 degrees
Space group P4/mmm (No. 123)
One atom of each set of equivalent atoms:
Ba (0.000, 0.000, 0.172) [2 per cell]
Co (0.500, 0.500, 0.000) [1 per cell]
Co (0.500, 0.500, 0.336) [2 per cell]
O (0.000, 0.500, 0.000) [2 per cell]
O (0.000, 0.500, 0.348) [4 per cell]
O (0.500, 0.500, 0.170) [2 per cell]

Computed properties:
Energy relative to the elements (meV per atom): -1509